# MgNb2S4Br4

MgNb2S4Br4 after structural relaxation (GGA-PBE, Materials Project).

Summary:
relative energy among the computed polymorphs: 0.000 eV/atom
magnetization: 0.00 μB/cell
ΔH_f (0 K): -1.290 eV per atom
energy with MP2020 corrections: -59.09 eV/f.u.

Lattice parameters (Å, degrees): 6.799 6.864 8.175 110.06 108.11 96.52
Fractional positions:
1 Mg 0.000 0.000 0.000
2 Nb 0.543 0.826 0.106
3 Nb 0.627 0.435 0.022
4 S 0.273 0.495 0.862
5 S 0.329 0.519 0.129
6 S 0.698 0.678 0.864
7 S 0.824 0.738 0.309
8 Br 0.317 0.042 0.297
9 Br 0.325 0.008 0.860
10 Br 0.796 0.186 0.792
11 Br 0.822 0.224 0.247